! Ag2HgI4 GGA-PBE relaxed; values from VASP
! SG: I-42m
! E_tot, eV for the cell shown: -28.32
! Energy of formation from the pure elements, eV per atom: -0.516
&SYSTEM
  ibrav = 0, nat = 14, ntyp = 3
/
ATOMIC_SPECIES
Ag 107.87 Ag.upf
Hg 200.59 Hg.upf
I 126.90 I.upf
ATOMIC_POSITIONS angstrom
Ag 0.000 3.312 3.289
Ag 0.000 3.312 9.867
Ag 3.312 0.000 3.289
Ag 3.312 0.000 9.867
Hg 0.000 0.000 0.000
Hg 3.312 3.312 6.578
I 1.648 1.648 4.936
I 1.648 4.976 8.220
I 1.664 1.664 11.513
I 1.664 4.960 1.642
I 4.960 1.664 1.642
I 4.960 4.960 11.513
I 4.976 1.648 8.220
I 4.976 4.976 4.936
CELL_PARAMETERS angstrom
6.624 0.000 0.000
0.000 6.624 0.000
0.000 0.000 13.155